This record from Materials Project describes a geometry-optimized Na5V36O88 structure. The functional is PBE with a Hubbard U.

Computed properties:
Energy relative to the elements: -2.3178 eV/atom

The structure in POSCAR format:
```
Na5V36O88
1.0
20.6960 0.0000 0.0000
0.0000 3.6755 0.0000
-6.0606 0.0000 21.3959
Na V O
5 36 88
Direct
0.0000 0.0000 0.0000 Na
0.0257 0.5000 0.6574 Na
0.1705 0.5000 0.6445 Na
0.4999 0.0000 0.9994 Na
0.6543 0.5000 0.6479 Na
0.0290 0.5000 0.8493 V
0.0715 0.0000 0.5076 V
0.0835 0.5000 0.1411 V
0.1255 0.0000 0.7992 V
0.1660 0.5000 0.4563 V
0.2184 0.5000 0.2535 V
0.2412 0.5000 0.1085 V
0.2587 0.0000 0.9145 V
0.2843 0.0000 0.7648 V
0.3040 0.5000 0.5697 V
0.3204 0.5000 0.4162 V
0.3343 0.0000 0.2309 V
0.3532 0.0000 0.0778 V
0.3711 0.5000 0.8823 V
0.3970 0.5000 0.7341 V
0.4145 0.0000 0.5389 V
0.4364 0.0000 0.3936 V
0.4895 0.0000 0.1918 V
0.5297 0.5000 0.8490 V
0.5717 0.0000 0.5063 V
0.5835 0.5000 0.1410 V
0.6248 0.0000 0.7985 V
0.6656 0.5000 0.4555 V
0.7190 0.5000 0.2540 V
0.7412 0.5000 0.1087 V
0.7580 0.0000 0.9140 V
0.7823 0.0000 0.7648 V
0.8012 0.5000 0.5706 V
0.8206 0.5000 0.4170 V
0.8348 0.0000 0.2314 V
0.8530 0.0000 0.0774 V
0.8713 0.5000 0.8839 V
0.8935 0.5000 0.7352 V
0.9101 0.0000 0.5360 V
0.9373 0.0000 0.3944 V
0.9894 0.0000 0.1918 V
0.0008 0.5000 0.1688 O
0.0138 0.0000 0.3885 O
0.0181 0.0000 0.2660 O
0.0416 0.0000 0.8293 O
0.0513 0.5000 0.9250 O
0.0588 0.5000 0.0647 O
0.0753 0.0000 0.1598 O
0.0806 0.5000 0.4892 O
0.0947 0.0000 0.5852 O
0.0995 0.0000 0.7221 O
0.1138 0.5000 0.8184 O
0.1367 0.5000 0.3819 O
0.1411 0.5000 0.2580 O
0.1540 0.0000 0.4788 O
0.1776 0.5000 0.1571 O
0.1811 0.0000 0.9176 O
0.1906 0.5000 0.0395 O
0.2158 0.0000 0.8145 O
0.2245 0.5000 0.5704 O
0.2285 0.0000 0.6954 O
0.2443 0.0000 0.2495 O
0.2568 0.5000 0.4671 O
0.2661 0.0000 0.1253 O
0.2680 0.5000 0.3428 O
0.2821 0.5000 0.9039 O
0.3052 0.5000 0.7809 O
0.3064 0.0000 0.9965 O
0.3117 0.5000 0.2145 O
0.3253 0.0000 0.5579 O
0.3307 0.5000 0.0888 O
0.3431 0.0000 0.4323 O
0.3470 0.5000 0.6503 O
0.3494 0.0000 0.8663 O
0.3727 0.0000 0.7426 O
0.3870 0.0000 0.3042 O
0.3889 0.5000 0.5225 O
0.3985 0.0000 0.1789 O
0.4107 0.5000 0.3978 O
0.4266 0.5000 0.9515 O
0.4312 0.0000 0.0734 O
0.4377 0.5000 0.8315 O
0.4650 0.0000 0.6080 O
0.4734 0.5000 0.7283 O
0.4774 0.0000 0.4901 O
0.5008 0.5000 0.1689 O
0.5137 0.0000 0.3892 O
0.5178 0.0000 0.2660 O
0.5405 0.0000 0.8282 O
0.5510 0.5000 0.9247 O
0.5588 0.5000 0.0647 O
0.5754 0.0000 0.1599 O
0.5795 0.5000 0.4875 O
0.5962 0.0000 0.5826 O
0.6034 0.0000 0.7228 O
0.6140 0.5000 0.8193 O
0.6371 0.5000 0.3812 O
0.6417 0.5000 0.2582 O
0.6541 0.0000 0.4785 O
0.6777 0.5000 0.1573 O
0.6814 0.0000 0.9191 O
0.6906 0.5000 0.0397 O
0.7168 0.0000 0.8160 O
0.7232 0.5000 0.5747 O
0.7270 0.0000 0.6956 O
0.7441 0.0000 0.2496 O
0.7560 0.5000 0.4688 O
0.7662 0.0000 0.1253 O
0.7684 0.5000 0.3426 O
0.7818 0.5000 0.9044 O
0.8056 0.5000 0.7807 O
0.8072 0.0000 0.9968 O
0.8115 0.5000 0.2147 O
0.8227 0.0000 0.5587 O
0.8309 0.5000 0.0891 O
0.8464 0.0000 0.4352 O
0.8481 0.5000 0.6513 O
0.8501 0.0000 0.8677 O
0.8709 0.0000 0.7432 O
0.8871 0.0000 0.3048 O
0.8879 0.5000 0.5207 O
0.8985 0.0000 0.1792 O
0.9117 0.5000 0.3976 O
0.9264 0.5000 0.9531 O
0.9314 0.0000 0.0739 O
0.9375 0.5000 0.8338 O
0.9647 0.0000 0.6062 O
0.9724 0.5000 0.7324 O
0.9785 0.0000 0.4890 O
```

This record from Materials Project describes a geometry-optimized NaEuCr4O12 structure. The functional is PBE with a Hubbard U.

Computed properties:
Energy relative to the elements: -1.8052 eV/atom

The structure in POSCAR format:
```
NaEuCr4O12
1.0
7.4770 0.0000 0.0000
0.0000 3.6473 3.8690
0.0000 -3.6473 3.8690
Na Eu Cr O
1 1 4 12
Direct
0.0000 0.0000 0.0000 Na
0.5000 0.4708 0.4708 Eu
0.2420 0.4766 0.9674 Cr
0.2420 0.9674 0.4766 Cr
0.7580 0.4766 0.9674 Cr
0.7580 0.9674 0.4766 Cr
0.0000 0.0256 0.4432 O
0.0000 0.4432 0.0256 O
0.2084 0.7839 0.7839 O
0.2518 0.2925 0.6990 O
0.2518 0.6990 0.2925 O
0.2944 0.2145 0.2145 O
0.5000 0.5370 0.9543 O
0.5000 0.9543 0.5370 O
0.7056 0.2145 0.2145 O
0.7482 0.2925 0.6990 O
0.7482 0.6990 0.2925 O
0.7916 0.7839 0.7839 O
```

This record from Materials Project describes a geometry-optimized Li4MnFe3P4O16 structure. The functional is PBE with a Hubbard U.

Computed properties:
Energy relative to the elements: -2.5164 eV/atom

The structure in POSCAR format:
```
Li4MnFe3P4O16
1.0
4.7621 0.0000 0.0000
0.0000 6.1051 0.0000
-0.0227 0.0000 10.4670
Li Mn Fe P O
4 1 3 4 16
Direct
0.0000 0.2494 0.0000 Li
0.0000 0.7506 0.0000 Li
0.4998 0.2491 0.4992 Li
0.4998 0.7509 0.4992 Li
0.0220 0.5000 0.7180 Mn
0.4745 0.5000 0.2180 Fe
0.5251 0.0000 0.7811 Fe
0.9751 0.0000 0.2810 Fe
0.0844 0.0000 0.5933 P
0.4184 0.0000 0.0943 P
0.5800 0.5000 0.9069 P
0.9177 0.5000 0.4037 P
0.2060 0.0000 0.4552 O
0.2204 0.2016 0.6635 O
0.2204 0.7984 0.6635 O
0.2401 0.5000 0.4028 O
0.2581 0.5000 0.9048 O
0.2856 0.2029 0.1650 O
0.2856 0.7971 0.1650 O
0.2927 0.0000 0.9568 O
0.7083 0.5000 0.0436 O
0.7109 0.2970 0.8355 O
0.7109 0.7030 0.8355 O
0.7410 0.0000 0.0963 O
0.7616 0.0000 0.5963 O
0.7854 0.2969 0.3330 O
0.7854 0.7031 0.3330 O
0.7905 0.5000 0.5407 O
```

> The highest energy relative to the elements belongs to which entry?

NaEuCr4O12

> Among the records above, which one has the lowest energy relative to the elements?

Li4MnFe3P4O16

> What is the energy relative to the elements in the second record?

-1.8052 eV/atom

> Which value of energy relative to the elements does entry 3 give?

-2.5164 eV/atom